Computed, not measured: a geometry-optimized Cu4SiP8 structure at the PBE level of DFT.

```
data_Cu4SiP8
_symmetry_space_group_name_H-M 'P 1'
_symmetry_Int_Tables_number 1
_cell_length_a 9.0987
_cell_length_b 9.0987
_cell_length_c 9.0987
_cell_angle_alpha 95.69
_cell_angle_beta 95.69
_cell_angle_gamma 143.28
loop_
_symmetry_equiv_pos_as_xyz
'x,y,z'
loop_
_atom_site_label
_atom_site_type_symbol
_atom_site_fract_x
_atom_site_fract_y
_atom_site_fract_z
Si1 Si 0.2500 0.7500 0.5000
Si2 Si 0.0000 0.0000 0.0000
P1 P 0.8425 0.8702 0.2033
P2 P 0.7506 0.8247 0.6188
P3 P 0.5831 0.1109 0.7033
P4 P 0.4075 0.8798 0.2967
P5 P 0.8891 0.5925 0.4723
P6 P 0.1202 0.4169 0.5277
P7 P 0.1298 0.3331 0.9723
P8 P 0.8682 0.2494 0.0741
P9 P 0.0441 0.6182 0.1188
P10 P 0.1753 0.7941 0.9259
P11 P 0.0747 0.9559 0.5741
P12 P 0.3818 0.5006 0.4259
P13 P 0.4994 0.9253 0.8812
P14 P 0.2059 0.1318 0.3812
P15 P 0.6669 0.6391 0.7967
P16 P 0.3609 0.1575 0.0277
Cu1 Cu 0.4227 0.2319 0.7875
Cu2 Cu 0.3648 0.5773 0.8091
Cu3 Cu 0.4819 0.1943 0.3091
Cu4 Cu 0.7681 0.5557 0.1909
Cu5 Cu 0.4443 0.6352 0.2125
Cu6 Cu 0.8057 0.1148 0.2875
Cu7 Cu 0.8273 0.5181 0.7125
Cu8 Cu 0.8852 0.1727 0.6909
```

Properties
DFT formation energy: -0.13 eV/atom
raw total energy: -5.138 eV/atom


Computed, not measured: a geometry-optimized H8PtO6 structure at the PBE level of DFT.

```
data_H8PtO6
_symmetry_space_group_name_H-M 'P 1'
_symmetry_Int_Tables_number 1
_cell_length_a 5.5990
_cell_length_b 5.6529
_cell_length_c 7.4061
_cell_angle_alpha 88.37
_cell_angle_beta 86.07
_cell_angle_gamma 81.54
loop_
_symmetry_equiv_pos_as_xyz
'x,y,z'
loop_
_atom_site_label
_atom_site_type_symbol
_atom_site_fract_x
_atom_site_fract_y
_atom_site_fract_z
O1 O 0.3499 0.3169 0.9921
O2 O 0.5784 0.0429 0.7581
O3 O 0.1085 0.7886 0.9357
O4 O 0.8042 0.1306 0.4125
O5 O 0.6424 0.6336 0.0195
O6 O 0.4090 0.9535 0.2404
O7 O 0.9315 0.4032 0.7495
O8 O 0.6584 0.6547 0.4928
O9 O 0.3248 0.3445 0.4925
O10 O 0.1767 0.8919 0.5821
O11 O 0.0289 0.5626 0.2704
O12 O 0.8722 0.1608 0.0808
H1 H 0.8523 0.1389 0.2261
H2 H 0.4619 0.4474 0.9987
H3 H 0.8673 0.5929 0.3518
H4 H 0.0871 0.3781 0.6739
H5 H 0.7237 0.1255 0.7481
H6 H 0.4014 0.1010 0.1617
H7 H 0.9442 0.0448 0.4776
H8 H 0.9746 0.0087 0.0220
H9 H 0.6276 0.7490 0.9158
H10 H 0.4224 0.2068 0.8793
H11 H 0.7399 0.6011 0.6058
H12 H 0.5166 0.8204 0.1702
H13 H 0.1265 0.8092 0.8005
H14 H 0.4563 0.4477 0.4925
H15 H 0.1493 0.4474 0.3425
H16 H 0.1753 0.7502 0.5097
Pt1 Pt 0.4985 0.0026 0.4999
Pt2 Pt 0.9918 0.4775 0.0034
```

Properties
DFT formation energy: -1.16 eV/atom
polymorph energy (0 for the lowest one): 0 meV per atom
raw total energy: -5.081 eV/atom


Computed, not measured: a geometry-optimized Eu2AlNO3 structure at the PBE level of DFT.

```
data_Eu2AlNO3
_symmetry_space_group_name_H-M 'P 1'
_symmetry_Int_Tables_number 1
_cell_length_a 6.7608
_cell_length_b 6.7608
_cell_length_c 6.7608
_cell_angle_alpha 147.92
_cell_angle_beta 147.92
_cell_angle_gamma 46.00
loop_
_symmetry_equiv_pos_as_xyz
'x,y,z'
loop_
_atom_site_label
_atom_site_type_symbol
_atom_site_fract_x
_atom_site_fract_y
_atom_site_fract_z
Eu1 Eu 0.5204 0.5204 0.0000
Eu2 Eu 0.8074 0.8074 0.0000
Al1 Al 0.1655 0.1655 0.0000
O1 O 0.6668 0.1668 0.5000
O2 O 0.3287 0.3287 0.0000
O3 O 0.1668 0.6668 0.5000
N1 N 0.9970 0.9970 0.0000
```

Properties
DFT formation energy: -2.65 eV/atom
raw total energy: -9.132 eV/atom


Computed, not measured: a geometry-optimized RbBaO3 structure at the PBE level of DFT.

```
data_RbBaO3
_symmetry_space_group_name_H-M 'P 1'
_symmetry_Int_Tables_number 1
_cell_length_a 4.9952
_cell_length_b 4.9952
_cell_length_c 4.9952
_cell_angle_alpha 90.00
_cell_angle_beta 90.00
_cell_angle_gamma 90.00
loop_
_symmetry_equiv_pos_as_xyz
'x,y,z'
loop_
_atom_site_label
_atom_site_type_symbol
_atom_site_fract_x
_atom_site_fract_y
_atom_site_fract_z
Ba1 Ba 0.5000 0.5000 0.5000
O1 O 0.5000 0.0000 0.5000
O2 O 0.5000 0.5000 0.0000
O3 O 0.0000 0.5000 0.5000
Rb1 Rb 0.0000 0.0000 0.0000
```

Properties
DFT formation energy: -1.28 eV/atom
raw total energy: -4.416 eV/atom


Computed, not measured: a geometry-optimized Pm2MgAl structure at the PBE level of DFT.

```
data_Pm2MgAl
_symmetry_space_group_name_H-M 'P 1'
_symmetry_Int_Tables_number 1
_cell_length_a 5.3313
_cell_length_b 5.3313
_cell_length_c 5.3313
_cell_angle_alpha 60.00
_cell_angle_beta 60.00
_cell_angle_gamma 60.00
loop_
_symmetry_equiv_pos_as_xyz
'x,y,z'
loop_
_atom_site_label
_atom_site_type_symbol
_atom_site_fract_x
_atom_site_fract_y
_atom_site_fract_z
Mg1 Mg 0.0000 0.0000 0.0000
Pm1 Pm 0.2500 0.2500 0.2500
Pm2 Pm 0.7500 0.7500 0.7500
Al1 Al 0.5000 0.5000 0.5000
```

Properties
DFT formation energy: -0.26 eV/atom
raw total energy: -3.973 eV/atom


Computed, not measured: a geometry-optimized LaTeAs structure at the PBE level of DFT.

```
data_LaTeAs
_symmetry_space_group_name_H-M 'P 1'
_symmetry_Int_Tables_number 1
_cell_length_a 4.2063
_cell_length_b 7.8917
_cell_length_c 10.4228
_cell_angle_alpha 90.00
_cell_angle_beta 90.00
_cell_angle_gamma 90.00
loop_
_symmetry_equiv_pos_as_xyz
'x,y,z'
loop_
_atom_site_label
_atom_site_type_symbol
_atom_site_fract_x
_atom_site_fract_y
_atom_site_fract_z
La1 La 0.2500 0.2236 0.6557
La2 La 0.7500 0.2764 0.1557
La3 La 0.7500 0.7764 0.3443
La4 La 0.2500 0.7236 0.8443
Te1 Te 0.7500 0.4063 0.8493
Te2 Te 0.2500 0.0937 0.3493
Te3 Te 0.7500 0.9063 0.6507
Te4 Te 0.2500 0.5937 0.1507
As1 As 0.2500 0.5901 0.5387
As2 As 0.2500 0.0901 0.9613
As3 As 0.7500 0.4099 0.4613
As4 As 0.7500 0.9099 0.0387
```

Properties
DFT formation energy: -1.30 eV/atom
raw total energy: -5.551 eV/atom


Computed, not measured: a geometry-optimized Na6TeN4 structure at the PBE level of DFT.

```
data_Na6TeN4
_symmetry_space_group_name_H-M 'P 1'
_symmetry_Int_Tables_number 1
_cell_length_a 7.6382
_cell_length_b 7.6382
_cell_length_c 5.8504
_cell_angle_alpha 90.00
_cell_angle_beta 90.00
_cell_angle_gamma 90.00
loop_
_symmetry_equiv_pos_as_xyz
'x,y,z'
loop_
_atom_site_label
_atom_site_type_symbol
_atom_site_fract_x
_atom_site_fract_y
_atom_site_fract_z
Na1 Na 0.2931 0.7069 0.0000
Na2 Na 0.7931 0.7931 0.5000
Na3 Na 0.7069 0.2931 0.0000
Na4 Na 0.5000 0.0000 0.3628
Na5 Na 0.0000 0.5000 0.1372
Na6 Na 0.2069 0.7931 0.5000
Na7 Na 0.0000 0.5000 0.6372
Na8 Na 0.2069 0.2069 0.5000
Na9 Na 0.5000 0.0000 0.8628
Na10 Na 0.7069 0.7069 0.0000
Na11 Na 0.7931 0.2069 0.5000
Na12 Na 0.2931 0.2931 0.0000
N1 N 0.2249 0.0000 0.1749
N2 N 0.0000 0.2249 0.8251
N3 N 0.5000 0.7249 0.6749
N4 N 0.5000 0.2751 0.6749
N5 N 0.2751 0.5000 0.3251
N6 N 0.7249 0.5000 0.3251
N7 N 0.7751 0.0000 0.1749
N8 N 0.0000 0.7751 0.8251
Te1 Te 0.5000 0.5000 0.5000
Te2 Te 0.0000 0.0000 0.0000
```

Properties
DFT formation energy: -0.01 eV/atom
raw total energy: -3.913 eV/atom


Computed, not measured: a geometry-optimized CsAg3Te2 structure at the PBE level of DFT.

```
data_CsAg3Te2
_symmetry_space_group_name_H-M 'P 1'
_symmetry_Int_Tables_number 1
_cell_length_a 9.2174
_cell_length_b 9.2174
_cell_length_c 9.6415
_cell_angle_alpha 68.80
_cell_angle_beta 68.80
_cell_angle_gamma 29.48
loop_
_symmetry_equiv_pos_as_xyz
'x,y,z'
loop_
_atom_site_label
_atom_site_type_symbol
_atom_site_fract_x
_atom_site_fract_y
_atom_site_fract_z
Te1 Te 0.1966 0.1966 0.3133
Te2 Te 0.5208 0.5208 0.7669
Te3 Te 0.8034 0.8034 0.6867
Te4 Te 0.4792 0.4792 0.2331
Cs1 Cs 0.8632 0.8632 0.0490
Cs2 Cs 0.1368 0.1368 0.9510
Ag1 Ag 0.5889 0.5889 0.3759
Ag2 Ag 0.6882 0.6882 0.5559
Ag3 Ag 0.3118 0.3118 0.4441
Ag4 Ag 0.0615 0.0615 0.5901
Ag5 Ag 0.9385 0.9385 0.4099
Ag6 Ag 0.4111 0.4111 0.6241
```

Properties
DFT formation energy: -0.54 eV/atom
raw total energy: -3.013 eV/atom


Computed, not measured: a geometry-optimized V5Bi3 structure at the PBE level of DFT.

```
data_V5Bi3
_symmetry_space_group_name_H-M 'P 1'
_symmetry_Int_Tables_number 1
_cell_length_a 5.6823
_cell_length_b 7.9796
_cell_length_c 7.9796
_cell_angle_alpha 82.72
_cell_angle_beta 69.14
_cell_angle_gamma 69.14
loop_
_symmetry_equiv_pos_as_xyz
'x,y,z'
loop_
_atom_site_label
_atom_site_type_symbol
_atom_site_fract_x
_atom_site_fract_y
_atom_site_fract_z
Bi1 Bi 0.6732 0.1536 0.5000
Bi2 Bi 0.2500 0.0000 0.0000
Bi3 Bi 0.1732 0.5000 0.1536
Bi4 Bi 0.7500 0.0000 0.0000
Bi5 Bi 0.3268 0.8464 0.5000
Bi6 Bi 0.8268 0.5000 0.8464
V1 V 0.2256 0.1961 0.3526
V2 V 0.9218 0.8039 0.3526
V3 V 0.2500 0.5000 0.5000
V4 V 0.5782 0.6474 0.1961
V5 V 0.0782 0.1961 0.6474
V6 V 0.4218 0.3526 0.8039
V7 V 0.2744 0.6474 0.8039
V8 V 0.7500 0.5000 0.5000
V9 V 0.7256 0.3526 0.1961
V10 V 0.7744 0.8039 0.6474
```

Properties
DFT formation energy: 0.45 eV/atom
polymorph energy (0 for the lowest one): 125 meV per atom
raw total energy: -6.688 eV/atom


Computed, not measured: a geometry-optimized K6MgSb2S8 structure at the PBE level of DFT.

```
data_K6MgSb2S8
_symmetry_space_group_name_H-M 'P 1'
_symmetry_Int_Tables_number 1
_cell_length_a 8.1450
_cell_length_b 8.1630
_cell_length_c 8.1576
_cell_angle_alpha 97.97
_cell_angle_beta 89.77
_cell_angle_gamma 90.35
loop_
_symmetry_equiv_pos_as_xyz
'x,y,z'
loop_
_atom_site_label
_atom_site_type_symbol
_atom_site_fract_x
_atom_site_fract_y
_atom_site_fract_z
S1 S 0.3481 0.0354 0.5993
S2 S 0.8471 0.5886 0.0808
S3 S 0.6286 0.4586 0.5411
S4 S 0.3491 0.4000 0.9639
S5 S 0.7261 0.0884 0.9109
S6 S 0.1205 0.5547 0.4450
S7 S 0.8461 0.9183 0.4109
S8 S 0.2324 0.9345 0.0650
K1 K 0.0131 0.3032 0.6955
K2 K 0.5131 0.1774 0.2567
K3 K 0.0269 0.8437 0.7442
K4 K 0.5123 0.7425 0.8226
K5 K 0.0292 0.2559 0.1545
K6 K 0.4596 0.6981 0.3040
Sb1 Sb 0.0546 0.7719 0.2284
Sb2 Sb 0.5229 0.2351 0.7640
Mg1 Mg 0.8292 0.5937 0.4049
```

Properties
DFT formation energy: -1.05 eV/atom
polymorph energy (0 for the lowest one): 88 meV per atom
raw total energy: -3.733 eV/atom


Computed, not measured: a geometry-optimized Zr2CoMo3 structure at the PBE level of DFT.

```
data_Zr2CoMo3
_symmetry_space_group_name_H-M 'P 1'
_symmetry_Int_Tables_number 1
_cell_length_a 5.3531
_cell_length_b 5.3531
_cell_length_c 5.3531
_cell_angle_alpha 58.44
_cell_angle_beta 58.44
_cell_angle_gamma 58.44
loop_
_symmetry_equiv_pos_as_xyz
'x,y,z'
loop_
_atom_site_label
_atom_site_type_symbol
_atom_site_fract_x
_atom_site_fract_y
_atom_site_fract_z
Mo1 Mo 0.5000 0.5000 0.0000
Mo2 Mo 0.0000 0.5000 0.5000
Mo3 Mo 0.5000 0.0000 0.5000
Zr1 Zr 0.1266 0.1266 0.1266
Zr2 Zr 0.8734 0.8734 0.8734
Co1 Co 0.5000 0.5000 0.5000
```

Properties
DFT formation energy: -0.13 eV/atom
polymorph energy (0 for the lowest one): 7 meV per atom
raw total energy: -9.582 eV/atom


Computed, not measured: a geometry-optimized Nd2TeO6 structure at the PBE level of DFT.

```
data_Nd2TeO6
_symmetry_space_group_name_H-M 'P 1'
_symmetry_Int_Tables_number 1
_cell_length_a 5.4840
_cell_length_b 9.4183
_cell_length_c 10.3112
_cell_angle_alpha 90.00
_cell_angle_beta 90.00
_cell_angle_gamma 90.00
loop_
_symmetry_equiv_pos_as_xyz
'x,y,z'
loop_
_atom_site_label
_atom_site_type_symbol
_atom_site_fract_x
_atom_site_fract_y
_atom_site_fract_z
O1 O 0.7217 0.3879 0.9351
O2 O 0.1810 0.6365 0.2429
O3 O 0.0735 0.8497 0.0236
O4 O 0.9265 0.3497 0.4764
O5 O 0.2526 0.4143 0.9918
O6 O 0.8190 0.1365 0.2571
O7 O 0.7474 0.9143 0.5082
O8 O 0.3190 0.3635 0.7429
O9 O 0.7783 0.6121 0.4351
O10 O 0.1917 0.6392 0.8242
O11 O 0.6810 0.8635 0.7571
O12 O 0.8329 0.4472 0.2124
O13 O 0.4265 0.1503 0.5236
O14 O 0.3083 0.3608 0.3242
O15 O 0.3329 0.0528 0.7876
O16 O 0.1671 0.9472 0.2876
O17 O 0.2217 0.1121 0.0649
O18 O 0.6917 0.8608 0.1758
O19 O 0.2783 0.8879 0.5649
O20 O 0.7526 0.0857 0.0082
O21 O 0.5735 0.6503 0.9764
O22 O 0.2474 0.5857 0.4918
O23 O 0.8083 0.1392 0.6758
O24 O 0.6671 0.5528 0.7124
Nd1 Nd 0.0337 0.2171 0.8624
Nd2 Nd 0.9663 0.7171 0.6376
Nd3 Nd 0.4752 0.8960 0.9587
Nd4 Nd 0.0248 0.1040 0.4587
Nd5 Nd 0.9752 0.6040 0.0413
Nd6 Nd 0.5248 0.3960 0.5413
Nd7 Nd 0.4663 0.7829 0.3624
Nd8 Nd 0.5337 0.2829 0.1376
Te1 Te 0.0413 0.4952 0.3566
Te2 Te 0.9587 0.9952 0.1434
Te3 Te 0.5413 0.0048 0.6434
Te4 Te 0.4587 0.5048 0.8566
```

Properties
DFT formation energy: -2.95 eV/atom
largest piezoelectric modulus: 0.34 C/m2
raw total energy: -7.197 eV/atom


Q: Which of these has the highest DFT formation energy?
A: V5Bi3